(1)
A plane-wave DFT calculation with meta-GGA r2SCAN was carried out for an optimized crystal structure of ZnGa2Se4.

The structure in CIF format:
```
data_ZnGa2Se4
_symmetry_space_group_name_H-M 'P 1'
_symmetry_Int_Tables_number 1
_cell_length_a 5.562
_cell_length_b 5.561
_cell_length_c 6.743
_cell_angle_alpha 114.37
_cell_angle_beta 114.36
_cell_angle_gamma 89.99
loop_
_symmetry_equiv_pos_as_xyz
'x,y,z'
loop_
_atom_site_label
_atom_site_fract_x
_atom_site_fract_y
_atom_site_fract_z
Zn1 0.250 0.750 0.500
Ga1 0.000 0.000 0.000
Ga2 0.750 0.250 0.500
Se1 0.140 0.618 0.764
Se2 0.382 0.375 0.235
Se3 0.625 0.147 0.765
Se4 0.854 0.860 0.235
```

Values from the calculation:
V: 24.199 Å³/atom
Symmetry: I-4, No. 82
Total magnetization: 0.0 μB/f.u.
ΔH_f (0 K): -769 meV/atom
E_tot: -94.424 eV per cell

***

(2)
A plane-wave DFT calculation with meta-GGA r2SCAN was carried out for an optimized crystal structure of Sr2GaSi.

The structure in CIF format:
```
data_Sr2GaSi
_symmetry_space_group_name_H-M 'P 1'
_symmetry_Int_Tables_number 1
_cell_length_a 6.347
_cell_length_b 6.347
_cell_length_c 4.231
_cell_angle_alpha 90.00
_cell_angle_beta 90.00
_cell_angle_gamma 136.32
loop_
_symmetry_equiv_pos_as_xyz
'x,y,z'
loop_
_atom_site_label
_atom_site_fract_x
_atom_site_fract_y
_atom_site_fract_z
Sr1 0.361 0.639 0.500
Sr2 0.641 0.359 0.000
Ga1 0.062 0.938 0.500
Si1 0.936 0.064 0.000
```

Values from the calculation:
V: 29.430 Å³/atom
Symmetry: Amm2, No. 38
Total magnetization: 0.0 μB/f.u.
ΔH_f (0 K): -516 meV/atom
E_tot: -52.573 eV per cell

***

(3)
A plane-wave DFT calculation with meta-GGA r2SCAN was carried out for an optimized crystal structure of Sr4GaSi3.

The structure in CIF format:
```
data_Sr4GaSi3
_symmetry_space_group_name_H-M 'P 1'
_symmetry_Int_Tables_number 1
_cell_length_a 4.148
_cell_length_b 4.788
_cell_length_c 11.507
_cell_angle_alpha 90.00
_cell_angle_beta 90.00
_cell_angle_gamma 90.00
loop_
_symmetry_equiv_pos_as_xyz
'x,y,z'
loop_
_atom_site_label
_atom_site_fract_x
_atom_site_fract_y
_atom_site_fract_z
Sr1 0.000 0.000 0.365
Sr2 0.000 0.500 0.859
Sr3 0.500 0.500 0.140
Sr4 0.500 0.000 0.638
Ga1 0.000 0.000 0.063
Si1 0.000 0.500 0.562
Si2 0.500 0.500 0.440
Si3 0.500 0.000 0.934
```

Values from the calculation:
V: 28.566 Å³/atom
Symmetry: Pmm2, No. 25
Total magnetization: 0.2 μB/f.u.
ΔH_f (0 K): -522 meV/atom
E_tot: -102.520 eV per cell

***

(4)
A plane-wave DFT calculation with meta-GGA r2SCAN was carried out for an optimized crystal structure of V6GaSi.

The structure in CIF format:
```
data_V6GaSi
_symmetry_space_group_name_H-M 'P 1'
_symmetry_Int_Tables_number 1
_cell_length_a 4.722
_cell_length_b 4.721
_cell_length_c 4.722
_cell_angle_alpha 90.00
_cell_angle_beta 90.00
_cell_angle_gamma 90.00
loop_
_symmetry_equiv_pos_as_xyz
'x,y,z'
loop_
_atom_site_label
_atom_site_fract_x
_atom_site_fract_y
_atom_site_fract_z
V1 0.000 0.500 0.756
V2 0.500 0.244 0.000
V3 0.756 0.000 0.500
V4 0.000 0.500 0.244
V5 0.500 0.756 0.000
V6 0.244 0.000 0.500
Ga1 0.500 0.500 0.500
Si1 0.000 0.000 0.000
```

Values from the calculation:
V: 13.157 Å³/atom
Symmetry: Pm-3, No. 200
Total magnetization: 2.5 μB/f.u.
ΔH_f (0 K): -357 meV/atom
E_tot: -107.609 eV per cell

***

(5)
A plane-wave DFT calculation with meta-GGA r2SCAN was carried out for an optimized crystal structure of Sm9Ga4.

The structure in CIF format:
```
data_Sm9Ga4
_symmetry_space_group_name_H-M 'P 1'
_symmetry_Int_Tables_number 1
_cell_length_a 5.100
_cell_length_b 8.804
_cell_length_c 8.802
_cell_angle_alpha 85.17
_cell_angle_beta 73.16
_cell_angle_gamma 73.16
loop_
_symmetry_equiv_pos_as_xyz
'x,y,z'
loop_
_atom_site_label
_atom_site_fract_x
_atom_site_fract_y
_atom_site_fract_z
Sm1 0.500 0.000 0.000
Sm2 0.127 0.280 0.466
Sm3 0.593 0.534 0.280
Sm4 0.407 0.466 0.720
Sm5 0.873 0.720 0.534
Sm6 0.184 0.929 0.703
Sm7 0.887 0.297 0.928
Sm8 0.113 0.703 0.072
Sm9 0.816 0.071 0.297
Ga1 0.387 0.882 0.344
Ga2 0.731 0.656 0.882
Ga3 0.269 0.344 0.118
Ga4 0.613 0.118 0.656
```

Values from the calculation:
V: 27.851 Å³/atom
Symmetry: I4/m, No. 87
Total magnetization: 0.0 μB/f.u.
ΔH_f (0 K): -458 meV/atom
E_tot: -319.315 eV per cell

***

(6)
A plane-wave DFT calculation with meta-GGA r2SCAN was carried out for an optimized crystal structure of SmGa3.

The structure in CIF format:
```
data_SmGa3
_symmetry_space_group_name_H-M 'P 1'
_symmetry_Int_Tables_number 1
_cell_length_a 6.382
_cell_length_b 6.382
_cell_length_c 4.506
_cell_angle_alpha 90.00
_cell_angle_beta 90.00
_cell_angle_gamma 120.00
loop_
_symmetry_equiv_pos_as_xyz
'x,y,z'
loop_
_atom_site_label
_atom_site_fract_x
_atom_site_fract_y
_atom_site_fract_z
Sm1 0.333 0.667 0.750
Sm2 0.667 0.333 0.250
Ga1 0.142 0.284 0.250
Ga2 0.716 0.858 0.250
Ga3 0.142 0.858 0.250
Ga4 0.858 0.716 0.750
Ga5 0.284 0.142 0.750
Ga6 0.858 0.142 0.750
```

Values from the calculation:
V: 19.871 Å³/atom
Symmetry: P6_3/mmc, No. 194
Total magnetization: 0.0 μB/f.u.
ΔH_f (0 K): -630 meV/atom
E_tot: -133.162 eV per cell

***

(7)
A plane-wave DFT calculation with meta-GGA r2SCAN was carried out for an optimized crystal structure of SmZnGa.

The structure in CIF format:
```
data_SmZnGa
_symmetry_space_group_name_H-M 'P 1'
_symmetry_Int_Tables_number 1
_cell_length_a 4.411
_cell_length_b 4.412
_cell_length_c 7.522
_cell_angle_alpha 90.00
_cell_angle_beta 90.00
_cell_angle_gamma 119.99
loop_
_symmetry_equiv_pos_as_xyz
'x,y,z'
loop_
_atom_site_label
_atom_site_fract_x
_atom_site_fract_y
_atom_site_fract_z
Sm1 0.000 0.000 0.500
Sm2 0.000 0.000 0.000
Zn1 0.333 0.667 0.750
Zn2 0.667 0.333 0.250
Ga1 0.333 0.666 0.250
Ga2 0.667 0.334 0.750
```

Values from the calculation:
V: 21.128 Å³/atom
Symmetry: P6_3/mmc, No. 194
Total magnetization: 0.0 μB/f.u.
ΔH_f (0 K): -641 meV/atom
E_tot: -104.019 eV per cell

***

(8)
A plane-wave DFT calculation with meta-GGA r2SCAN was carried out for an optimized crystal structure of Sm2ZnGa.

The structure in CIF format:
```
data_Sm2ZnGa
_symmetry_space_group_name_H-M 'P 1'
_symmetry_Int_Tables_number 1
_cell_length_a 5.139
_cell_length_b 5.139
_cell_length_c 5.139
_cell_angle_alpha 60.00
_cell_angle_beta 60.00
_cell_angle_gamma 60.00
loop_
_symmetry_equiv_pos_as_xyz
'x,y,z'
loop_
_atom_site_label
_atom_site_fract_x
_atom_site_fract_y
_atom_site_fract_z
Sm1 0.000 0.000 0.000
Sm2 0.500 0.500 0.500
Zn1 0.750 0.750 0.750
Ga1 0.250 0.250 0.250
```

Values from the calculation:
V: 23.988 Å³/atom
Symmetry: Fm-3m, No. 225
Total magnetization: 0.0 μB/f.u.
ΔH_f (0 K): -520 meV/atom
E_tot: -81.899 eV per cell

***

(9)
A plane-wave DFT calculation with meta-GGA r2SCAN was carried out for an optimized crystal structure of SmZn2Ga2.

The structure in CIF format:
```
data_SmZn2Ga2
_symmetry_space_group_name_H-M 'P 1'
_symmetry_Int_Tables_number 1
_cell_length_a 6.096
_cell_length_b 6.096
_cell_length_c 6.096
_cell_angle_alpha 140.25
_cell_angle_beta 140.25
_cell_angle_gamma 57.47
loop_
_symmetry_equiv_pos_as_xyz
'x,y,z'
loop_
_atom_site_label
_atom_site_fract_x
_atom_site_fract_y
_atom_site_fract_z
Sm1 0.000 0.000 0.000
Zn1 0.750 0.250 0.500
Zn2 0.250 0.750 0.500
Ga1 0.614 0.614 0.000
Ga2 0.386 0.386 0.000
```

Values from the calculation:
V: 18.364 Å³/atom
Symmetry: I4/mmm, No. 139
Total magnetization: 0.0 μB/f.u.
ΔH_f (0 K): -560 meV/atom
E_tot: -73.238 eV per cell

***

(10)
A plane-wave DFT calculation with meta-GGA r2SCAN was carried out for an optimized crystal structure of GaSn3.

The structure in CIF format:
```
data_GaSn3
_symmetry_space_group_name_H-M 'P 1'
_symmetry_Int_Tables_number 1
_cell_length_a 5.869
_cell_length_b 5.869
_cell_length_c 5.869
_cell_angle_alpha 134.44
_cell_angle_beta 134.44
_cell_angle_gamma 66.40
loop_
_symmetry_equiv_pos_as_xyz
'x,y,z'
loop_
_atom_site_label
_atom_site_fract_x
_atom_site_fract_y
_atom_site_fract_z
Ga1 0.000 0.000 0.000
Sn1 0.750 0.250 0.500
Sn2 0.250 0.750 0.500
Sn3 0.500 0.500 0.000
```

Values from the calculation:
V: 25.358 Å³/atom
Symmetry: I4/mmm, No. 139
Total magnetization: 0.0 μB/f.u.
ΔH_f (0 K): 230 meV/atom
E_tot: -84.762 eV per cell

***

(11)
A plane-wave DFT calculation with meta-GGA r2SCAN was carried out for an optimized crystal structure of GaSn3.

The structure in CIF format:
```
data_GaSn3
_symmetry_space_group_name_H-M 'P 1'
_symmetry_Int_Tables_number 1
_cell_length_a 6.473
_cell_length_b 6.473
_cell_length_c 5.550
_cell_angle_alpha 90.00
_cell_angle_beta 90.00
_cell_angle_gamma 120.00
loop_
_symmetry_equiv_pos_as_xyz
'x,y,z'
loop_
_atom_site_label
_atom_site_fract_x
_atom_site_fract_y
_atom_site_fract_z
Ga1 0.333 0.667 0.750
Ga2 0.667 0.333 0.250
Sn1 0.168 0.337 0.250
Sn2 0.663 0.832 0.250
Sn3 0.168 0.832 0.250
Sn4 0.832 0.663 0.750
Sn5 0.337 0.168 0.750
Sn6 0.832 0.168 0.750
```

Values from the calculation:
V: 25.177 Å³/atom
Symmetry: P6_3/mmc, No. 194
Total magnetization: 0.0 μB/f.u.
ΔH_f (0 K): 231 meV/atom
E_tot: -169.513 eV per cell

***

(12)
A plane-wave DFT calculation with meta-GGA r2SCAN was carried out for an optimized crystal structure of Ga3Sn.

The structure in CIF format:
```
data_Ga3Sn
_symmetry_space_group_name_H-M 'P 1'
_symmetry_Int_Tables_number 1
_cell_length_a 4.375
_cell_length_b 4.375
_cell_length_c 4.375
_cell_angle_alpha 90.00
_cell_angle_beta 90.00
_cell_angle_gamma 90.00
loop_
_symmetry_equiv_pos_as_xyz
'x,y,z'
loop_
_atom_site_label
_atom_site_fract_x
_atom_site_fract_y
_atom_site_fract_z
Ga1 0.000 0.500 0.500
Ga2 0.500 0.000 0.500
Ga3 0.500 0.500 0.000
Sn1 0.000 0.000 0.000
```

Values from the calculation:
V: 20.939 Å³/atom
Symmetry: Pm-3m, No. 221
Total magnetization: 0.0 μB/f.u.
ΔH_f (0 K): 201 meV/atom
E_tot: -58.270 eV per cell